CrN2: relaxed, PBE. Values from VASP.

Summary:
Calculated formation energy in eV per atom: 0.025
Symmetry: No. 1

Cell and atoms, written as Quantum ESPRESSO input:
```
&SYSTEM
  ibrav = 0, nat = 12, ntyp = 2
/
ATOMIC_SPECIES
N 14.01 N.upf
Cr 52.00 Cr.upf
CELL_PARAMETERS angstrom
5.287 0.000 0.000
-0.125 5.731 0.000
-0.235 -0.067 6.571
ATOMIC_POSITIONS angstrom
N 1.051 1.409 2.490
Cr 2.444 4.202 0.739
N 2.324 4.154 2.499
N 1.696 5.678 0.236
Cr 1.658 2.801 3.341
N 1.646 2.829 0.058
N 4.716 1.399 0.019
N 3.086 2.445 4.459
Cr 4.330 2.741 5.513
Cr 1.003 1.384 0.743
N 0.398 3.220 4.384
N 4.011 4.112 0.038
```

---

FePS3: relaxed, PBE. Values from VASP.

Summary:
Calculated formation energy in eV per atom: -0.557
Offset from the most stable computed form in meV/atom: 0.8

Cell and atoms, written as Quantum ESPRESSO input:
```
&SYSTEM
  ibrav = 0, nat = 20, ntyp = 3
/
ATOMIC_SPECIES
Fe 55.84 Fe.upf
S 32.06 S.upf
P 30.97 P.upf
CELL_PARAMETERS angstrom
-2.759 -5.105 0.822
-5.831 -0.045 -5.357
2.605 -5.307 -8.211
ATOMIC_POSITIONS angstrom
Fe -2.740 -8.536 -6.519
Fe -0.408 -7.106 -7.243
S -4.409 -3.544 -7.623
S -1.392 -1.766 -1.177
S -4.415 -1.730 -4.107
P -3.305 -5.273 -7.428
S 1.163 -5.254 -6.117
P -2.680 -5.183 -5.319
S -4.385 -6.995 -7.551
P -3.072 -5.150 -0.232
S -4.434 -5.176 -4.278
S -1.576 -6.912 -5.123
S -1.600 -3.462 -5.196
Fe -3.245 -1.920 -6.227
S -4.592 -8.691 -11.569
S -7.148 -5.202 -6.630
Fe -5.580 -3.354 -5.503
S -1.571 -8.727 -8.639
S -1.551 -5.280 -8.468
P -2.913 -5.306 -12.514
```

---

BaMg14CdO16: relaxed, PBE. Values from VASP.

Summary:
Calculated formation energy in eV per atom: -2.717
Symmetry: No. 47
Offset from the most stable computed form in meV/atom: 18.6

Cell and atoms, written as Quantum ESPRESSO input:
```
&SYSTEM
  ibrav = 0, nat = 32, ntyp = 4
/
ATOMIC_SPECIES
O 16.00 O.upf
Mg 24.30 Mg.upf
Ba 137.33 Ba.upf
Cd 112.41 Cd.upf
CELL_PARAMETERS angstrom
8.795 0.000 0.000
0.000 8.884 0.000
0.000 0.000 4.557
ATOMIC_POSITIONS angstrom
O 4.398 6.625 0.000
Mg 0.000 6.563 2.278
Mg 0.000 2.321 2.278
Mg 2.328 0.000 2.278
Mg 4.398 6.644 2.278
Mg 6.467 0.000 2.278
Mg 6.486 6.599 0.000
Mg 4.398 0.000 0.000
Mg 4.398 2.240 2.278
O 6.588 6.653 2.278
O 4.398 0.000 2.278
Ba 0.000 0.000 0.000
O 0.000 6.509 0.000
O 6.321 0.000 0.000
O 6.409 4.442 0.000
Mg 2.309 6.599 0.000
O 0.000 0.000 2.278
O 0.000 2.374 0.000
Mg 6.535 4.442 2.278
Mg 2.260 4.442 2.278
Mg 4.398 4.442 0.000
O 4.398 4.442 2.278
O 2.475 0.000 0.000
Cd 0.000 4.442 0.000
O 4.398 2.259 0.000
O 2.387 4.442 0.000
Mg 2.309 2.284 0.000
O 2.207 2.231 2.278
O 2.207 6.653 2.278
O 0.000 4.442 2.278
O 6.588 2.231 2.278
Mg 6.486 2.284 0.000
```

---

CsHgF3: relaxed, PBE. Values from VASP.

Summary:
Calculated formation energy in eV per atom: -2.250
Symmetry: No. 221

Cell and atoms, written as Quantum ESPRESSO input:
```
&SYSTEM
  ibrav = 0, nat = 5, ntyp = 3
/
ATOMIC_SPECIES
Hg 200.59 Hg.upf
F 19.00 F.upf
Cs 132.91 Cs.upf
CELL_PARAMETERS angstrom
-1.921 -2.195 3.654
1.244 -4.122 -1.822
4.077 0.224 2.277
ATOMIC_POSITIONS angstrom
Hg 1.700 -3.046 2.055
F 1.078 -0.985 2.966
Cs 0.000 0.000 0.000
F -0.338 -3.158 0.916
F 2.660 -1.949 0.228
```

---

ErWC2: relaxed, PBE. Values from VASP.

Summary:
Calculated formation energy in eV per atom: -0.308
Symmetry: No. 62

Cell and atoms, written as Quantum ESPRESSO input:
```
&SYSTEM
  ibrav = 0, nat = 16, ntyp = 3
/
ATOMIC_SPECIES
W 183.84 W.upf
Er 167.26 Er.upf
C 12.01 C.upf
CELL_PARAMETERS angstrom
3.353 0.000 0.000
0.000 5.699 0.000
0.000 0.000 10.774
ATOMIC_POSITIONS angstrom
W 0.838 5.142 4.200
Er 0.838 3.335 6.863
C 0.838 1.293 5.532
W 0.838 2.292 1.187
Er 0.838 0.485 9.298
Er 2.515 5.214 1.476
C 2.515 4.786 8.110
C 2.515 1.556 0.145
C 0.838 0.913 2.664
C 2.515 1.936 8.051
W 2.515 3.407 9.587
C 0.838 4.143 10.630
C 0.838 3.763 2.723
C 2.515 4.406 5.243
W 2.515 0.557 6.574
Er 2.515 2.364 3.911
```

---

Rb2LiAlF6: relaxed, PBE. Values from VASP.

Summary:
Calculated formation energy in eV per atom: -3.423
Symmetry: No. 225

Cell and atoms, written as Quantum ESPRESSO input:
```
&SYSTEM
  ibrav = 0, nat = 10, ntyp = 4
/
ATOMIC_SPECIES
F 19.00 F.upf
Rb 85.47 Rb.upf
Al 26.98 Al.upf
Li 6.94 Li.upf
CELL_PARAMETERS angstrom
5.368 0.905 2.054
0.930 4.132 3.988
1.309 -1.481 5.472
ATOMIC_POSITIONS angstrom
F 2.436 -0.009 5.601
F 5.379 0.487 6.727
Rb 1.902 0.889 2.879
F 2.228 3.069 4.787
F 4.661 1.299 3.726
F 2.946 2.257 7.788
Al 0.000 0.000 0.000
Li 3.804 1.778 5.757
F 5.171 3.565 5.913
Rb 5.705 2.667 8.636
```

---

KUSeO8: relaxed, PBE. Values from VASP.

Summary:
Calculated formation energy in eV per atom: -1.852
Symmetry: No. 14

Cell and atoms, written as Quantum ESPRESSO input:
```
&SYSTEM
  ibrav = 0, nat = 44, ntyp = 4
/
ATOMIC_SPECIES
O 16.00 O.upf
U 238.03 U.upf
Se 78.96 Se.upf
K 39.10 K.upf
CELL_PARAMETERS angstrom
-3.082 -6.932 3.269
7.857 -2.967 1.116
3.867 3.256 10.551
ATOMIC_POSITIONS angstrom
O 1.276 -3.719 8.387
O 3.851 -5.012 7.035
O 2.298 -3.985 10.813
U 8.147 -2.467 4.448
O 5.733 -8.132 6.020
O 2.564 -0.775 10.652
O 2.910 1.490 8.916
Se 6.816 -4.203 13.428
O 0.325 -1.603 4.331
O 4.792 -1.630 7.901
O 1.106 -3.677 2.451
Se 4.959 -5.658 8.071
O 7.799 -5.582 13.225
Se 1.827 -2.439 1.508
O 3.011 -6.987 4.450
O 5.632 0.345 10.486
Se 3.684 -0.984 6.865
O 5.305 -4.461 12.819
O 3.470 -1.797 5.453
K 1.626 -7.030 6.759
O 9.473 -0.906 11.641
O 6.472 -5.846 7.305
U 9.131 -2.977 10.732
O 4.217 0.599 6.477
U -0.488 -3.665 4.204
O 7.366 -2.924 6.549
O 2.007 0.692 3.917
O -0.830 -5.736 3.295
O 4.425 -7.241 8.459
O 5.172 -4.846 9.483
O 0.790 -4.656 5.086
O 2.171 -0.797 7.631
O 6.344 -2.657 4.123
O 3.337 -2.181 2.117
K 7.016 0.388 8.177
O 0.844 -1.060 1.712
O 7.536 -2.965 12.485
O 7.852 -1.986 9.850
O 6.636 -7.334 11.019
K 4.882 -2.428 10.632
O 8.317 -5.039 10.605
O 6.078 -5.867 4.284
U 0.495 -4.175 10.488
K 3.761 -4.214 4.304
```

---

Ca2SiO4: relaxed, PBE. Values from VASP.

Summary:
Calculated formation energy in eV per atom: -3.434
Symmetry: No. 14
Offset from the most stable computed form in meV/atom: 42.9

Cell and atoms, written as Quantum ESPRESSO input:
```
&SYSTEM
  ibrav = 0, nat = 28, ntyp = 3
/
ATOMIC_SPECIES
O 16.00 O.upf
Ca 40.08 Ca.upf
Si 28.09 Si.upf
CELL_PARAMETERS angstrom
5.401 0.000 0.000
0.000 7.057 -0.128
0.000 0.187 9.831
ATOMIC_POSITIONS angstrom
O 5.113 1.828 3.376
O 4.616 3.133 1.110
Ca 2.700 0.000 0.000
O 2.988 1.922 8.291
Ca 0.052 1.918 8.280
Si 0.053 5.443 7.979
O 3.846 5.455 8.408
O 4.255 5.361 3.493
Si 2.753 1.895 6.639
Ca 2.649 1.824 3.365
Ca 0.000 0.094 4.915
O 0.288 5.416 6.327
Ca 2.752 5.420 6.337
O 1.555 1.789 1.294
Si 5.347 1.801 1.723
Ca 2.700 3.528 -0.064
Ca 5.349 5.326 1.422
O 4.614 0.451 1.154
O 0.784 4.111 8.592
O 1.145 1.883 6.209
O 1.913 6.699 3.633
O 0.787 6.793 8.548
O 2.412 5.322 1.411
O 3.485 3.227 6.026
O 1.916 4.017 3.677
Ca 0.000 3.622 4.851
Si 2.647 5.349 3.064
O 3.487 0.545 6.069
```

---

Ge3Bi2O9: relaxed, PBE. Values from VASP.

Summary:
Calculated formation energy in eV per atom: -1.973
Symmetry: No. 176

Cell and atoms, written as Quantum ESPRESSO input:
```
&SYSTEM
  ibrav = 0, nat = 28, ntyp = 3
/
ATOMIC_SPECIES
O 16.00 O.upf
Ge 72.64 Ge.upf
Bi 208.98 Bi.upf
CELL_PARAMETERS angstrom
-4.232 5.571 0.959
1.497 -4.272 5.420
8.065 5.733 2.291
ATOMIC_POSITIONS angstrom
O 0.317 1.513 6.355
Ge 4.436 4.282 7.440
Ge 5.552 4.286 3.502
O 5.540 1.106 4.956
Ge 0.893 2.750 1.231
O -0.210 5.927 3.714
Bi -0.238 -0.866 3.983
Ge -0.222 2.746 5.168
O 4.015 3.620 4.031
O -1.031 1.745 3.973
O 3.778 5.602 6.453
Bi 3.444 1.751 5.029
O 1.495 4.332 1.702
O 3.835 2.701 6.968
Ge -1.590 5.674 2.657
O 6.180 4.368 7.634
O 2.941 -1.615 4.946
O 5.012 5.520 2.315
Ge 6.920 1.358 6.013
O 1.314 3.412 4.639
O 1.551 1.430 2.217
O -2.556 4.260 3.048
O 2.389 8.648 3.724
Bi 1.885 5.281 3.641
O 6.361 5.287 4.697
O -0.850 2.665 1.036
O 7.885 2.773 5.622
Bi 5.567 7.898 4.687
```

---

CeCr2Si2: relaxed, PBE. Values from VASP.

Summary:
Calculated formation energy in eV per atom: -0.346
Symmetry: No. 139

Cell and atoms, written as Quantum ESPRESSO input:
```
&SYSTEM
  ibrav = 0, nat = 5, ntyp = 3
/
ATOMIC_SPECIES
Cr 52.00 Cr.upf
Si 28.09 Si.upf
Ce 140.12 Ce.upf
CELL_PARAMETERS angstrom
5.829 -0.073 1.449
3.818 4.534 -0.972
-5.434 -1.178 2.272
ATOMIC_POSITIONS angstrom
Cr 2.609 0.490 1.980
Si 3.679 1.701 0.182
Cr 1.603 2.793 0.769
Si 5.968 2.760 0.295
Ce 0.000 0.000 0.000
```

---

Eu3Hf: relaxed, PBE. Values from VASP.

Summary:
Calculated formation energy in eV per atom: 0.376
Symmetry: No. 139

Cell and atoms, written as Quantum ESPRESSO input:
```
&SYSTEM
  ibrav = 0, nat = 4, ntyp = 2
/
ATOMIC_SPECIES
Eu 151.96 Eu.upf
Hf 178.49 Hf.upf
CELL_PARAMETERS angstrom
-2.582 2.582 5.140
2.582 -2.582 5.140
2.582 2.582 -5.140
ATOMIC_POSITIONS angstrom
Eu 2.582 0.000 2.570
Hf 0.000 0.000 0.000
Eu 0.000 2.582 2.570
Eu 0.000 0.000 5.140
```

---

GdAs2Pd3: relaxed, PBE. Values from VASP.

Summary:
Calculated formation energy in eV per atom: -0.750
Symmetry: No. 12

Cell and atoms, written as Quantum ESPRESSO input:
```
&SYSTEM
  ibrav = 0, nat = 18, ntyp = 3
/
ATOMIC_SPECIES
Pd 106.42 Pd.upf
Gd 157.25 Gd.upf
As 74.92 As.upf
CELL_PARAMETERS angstrom
2.002 8.165 0.000
-2.002 8.165 0.000
0.000 2.996 9.278
ATOMIC_POSITIONS angstrom
Pd 0.000 12.555 7.439
Pd 0.000 2.706 6.206
Pd 0.000 5.440 5.651
Gd 0.000 0.000 0.000
As 0.000 13.475 1.226
As 0.000 9.452 1.980
Gd 0.000 3.427 2.769
As 0.000 12.023 5.061
Pd 0.000 8.120 8.974
Pd 0.000 16.620 3.072
As 0.000 5.851 8.052
Pd 0.000 9.663 4.639
As 0.000 9.875 7.298
Pd 0.000 11.207 0.304
Pd 0.000 13.886 3.627
Gd 0.000 15.899 6.509
As 0.000 7.304 4.217
Pd 0.000 6.772 1.839
```

---

CaYMg6O8: relaxed, PBE. Values from VASP.

Summary:
Calculated formation energy in eV per atom: -2.946
Symmetry: No. 123
Offset from the most stable computed form in meV/atom: 0.0

Cell and atoms, written as Quantum ESPRESSO input:
```
&SYSTEM
  ibrav = 0, nat = 16, ntyp = 4
/
ATOMIC_SPECIES
O 16.00 O.upf
Mg 24.30 Mg.upf
Ca 40.08 Ca.upf
Y 88.91 Y.upf
CELL_PARAMETERS angstrom
8.895 0.000 0.000
0.000 4.517 0.000
0.000 0.000 4.517
ATOMIC_POSITIONS angstrom
O 0.000 0.000 2.259
Mg 2.392 0.000 2.259
Ca 0.000 0.000 0.000
Mg 6.504 2.259 0.000
Y 0.000 2.259 2.259
O 0.000 2.259 0.000
Mg 4.448 2.259 2.259
Mg 6.504 0.000 2.259
Mg 2.392 2.259 0.000
Mg 4.448 0.000 0.000
O 4.448 2.259 0.000
O 6.519 0.000 0.000
O 4.448 0.000 2.259
O 2.333 2.259 2.259
O 2.376 0.000 0.000
O 6.563 2.259 2.259
```

---

Ti11O14: relaxed, PBE. Values from VASP.

Summary:
Calculated formation energy in eV per atom: -3.097
Symmetry: No. 12

Cell and atoms, written as Quantum ESPRESSO input:
```
&SYSTEM
  ibrav = 0, nat = 25, ntyp = 2
/
ATOMIC_SPECIES
O 16.00 O.upf
Ti 47.87 Ti.upf
CELL_PARAMETERS angstrom
10.386 2.545 0.000
-10.386 2.545 0.000
0.000 1.666 4.834
ATOMIC_POSITIONS angstrom
O 2.944 5.084 3.695
Ti 4.496 2.545 0.000
O 1.457 4.246 1.201
O -4.434 4.207 1.259
O -2.944 5.084 3.695
O 0.000 5.057 3.582
Ti 8.859 3.379 2.417
O -2.944 1.673 1.139
O -4.434 2.551 3.575
O 0.000 1.700 1.253
Ti -1.455 2.545 0.000
O 2.944 1.673 1.139
Ti -4.496 2.545 0.000
O -1.457 2.511 3.634
Ti 1.455 2.545 0.000
O 4.434 4.207 1.259
Ti -8.859 3.379 2.417
Ti 0.000 0.000 0.000
O 4.434 2.551 3.575
Ti 2.833 3.379 2.417
Ti -6.048 3.379 2.417
O 1.457 2.511 3.634
Ti -2.833 3.379 2.417
O -1.457 4.246 1.201
Ti 6.048 3.379 2.417
```

---

BaYF5: relaxed, PBE. Values from VASP.

Summary:
Calculated formation energy in eV per atom: -4.281
Piezoelectric modulus e_max in C/m²: 2.49
Symmetry: No. 4
Offset from the most stable computed form in meV/atom: 59.9

Cell and atoms, written as Quantum ESPRESSO input:
```
&SYSTEM
  ibrav = 0, nat = 28, ntyp = 3
/
ATOMIC_SPECIES
F 19.00 F.upf
Y 88.91 Y.upf
Ba 137.33 Ba.upf
CELL_PARAMETERS angstrom
-8.340 6.008 -0.638
-3.051 -4.444 -1.961
-2.109 -2.119 7.618
ATOMIC_POSITIONS angstrom
F -8.661 1.589 3.811
F -8.401 -1.621 4.272
Y -6.553 2.424 4.311
F -4.809 -2.167 1.211
Ba -7.708 -1.648 -0.938
F -10.722 -0.629 3.725
F -2.233 -2.031 3.596
F -3.560 -4.436 2.578
Y -3.494 -1.173 -0.359
Ba -9.309 2.076 1.245
F -5.856 -3.845 5.160
F -10.321 -0.686 0.782
F -7.746 -1.061 1.693
F -3.171 -3.493 -0.326
F -10.909 1.653 5.499
F -4.539 -1.751 6.135
F -3.480 0.347 4.214
F -1.649 -1.420 1.010
Y -4.891 -4.461 0.866
F -5.990 1.035 2.743
Ba -5.728 -1.525 3.656
Y -9.347 0.142 5.428
F -5.401 -0.185 -0.695
F -8.475 0.845 -1.079
Ba -1.929 -1.690 6.253
F -7.051 0.576 5.596
F -7.005 2.829 -0.092
F -3.364 0.495 1.249
```